(1)
{
  "formula": "Na2Zr4Nb4Si7S5O48",
  "functional": "PBE",
  "state": "relaxed",
  "e_form_mev_per_atom": -2844.5,
  "space_group": "P1",
  "energy_corrected_mp2020_ev_per_atom": -8.18,
  "lattice_angstrom": [[8.978, 0.000, 0.000], [0.002, 15.565, 0.000], [0.003, 0.432, 23.307]],
  "species": ["Na", "Na", "Na", "Na", "Na", "Na", "Zr", "Zr", "Zr", "Zr", "Zr", "Zr", "Zr", "Zr", "Zr", "Zr", "Zr", "Zr", "Nb", "Nb", "Nb", "Nb", "Nb", "Nb", "Nb", "Nb", "Nb", "Nb", "Nb", "Nb", "Si", "Si", "Si", "Si", "Si", "Si", "Si", "Si", "Si", "Si", "Si", "Si", "Si", "Si", "Si", "Si", "Si", "Si", "Si", "Si", "Si", "S", "S", "S", "S", "S", "S", "S", "S", "S", "S", "S", "S", "S", "S", "S", "O", "O", "O", "O", "O", "O", "O", "O", "O", "O", "O", "O", "O", "O", "O", "O", "O", "O", "O", "O", "O", "O", "O", "O", "O", "O", "O", "O", "O", "O", "O", "O", "O", "O", "O", "O", "O", "O", "O", "O", "O", "O", "O", "O", "O", "O", "O", "O", "O", "O", "O", "O", "O", "O", "O", "O", "O", "O", "O", "O", "O", "O", "O", "O", "O", "O", "O", "O", "O", "O", "O", "O", "O", "O", "O", "O", "O", "O", "O", "O", "O", "O", "O", "O", "O", "O", "O", "O", "O", "O", "O", "O", "O", "O", "O", "O", "O", "O", "O", "O", "O", "O", "O", "O", "O", "O", "O", "O", "O", "O", "O", "O", "O", "O", "O", "O", "O", "O", "O", "O", "O", "O", "O", "O", "O", "O", "O", "O", "O", "O", "O", "O", "O", "O", "O", "O", "O", "O", "O", "O", "O", "O", "O", "O"],
  "fractional_positions": [[0.000, 0.000, 0.000], [0.006, 0.332, 0.343], [0.020, 0.335, 0.838], [0.508, 0.830, 0.342], [0.523, 0.829, 0.841], [0.531, 0.499, 0.507], [0.001, 0.010, 0.146], [0.004, 0.013, 0.861], [0.010, 0.341, 0.482], [0.011, 0.680, 0.810], [0.013, 0.346, 0.979], [0.022, 0.680, 0.313], [0.506, 0.181, 0.812], [0.515, 0.844, 0.481], [0.518, 0.510, 0.649], [0.518, 0.842, 0.980], [0.522, 0.184, 0.313], [0.524, 0.514, 0.362], [0.003, 0.341, 0.188], [0.020, 0.015, 0.364], [0.029, 0.012, 0.644], [0.033, 0.350, 0.691], [0.033, 0.680, 0.024], [0.495, 0.182, 0.527], [0.496, 0.514, 0.861], [0.499, 0.512, 0.144], [0.500, 0.845, 0.187], [0.524, 0.840, 0.688], [0.533, 0.183, 0.025], [0.996, 0.683, 0.527], [0.147, 0.485, 0.085], [0.152, 0.153, 0.751], [0.159, 0.818, 0.418], [0.224, 0.846, 0.083], [0.228, 0.511, 0.753], [0.231, 0.180, 0.417], [0.300, 0.680, 0.916], [0.303, 0.348, 0.584], [0.372, 0.320, 0.918], [0.375, 0.653, 0.252], [0.380, 0.985, 0.585], [0.650, 0.988, 0.083], [0.651, 0.653, 0.753], [0.658, 0.319, 0.420], [0.724, 0.347, 0.085], [0.728, 0.679, 0.418], [0.801, 0.178, 0.917], [0.803, 0.847, 0.586], [0.872, 0.487, 0.584], [0.873, 0.818, 0.919], [0.877, 0.153, 0.253], [0.158, 0.533, 0.419], [0.160, 0.200, 0.086], [0.163, 0.870, 0.750], [0.301, 0.006, 0.254], [0.365, 0.369, 0.251], [0.367, 0.700, 0.586], [0.370, 0.034, 0.919], [0.660, 0.698, 0.088], [0.661, 0.034, 0.418], [0.667, 0.367, 0.753], [0.726, 0.006, 0.750], [0.802, 0.506, 0.251], [0.862, 0.868, 0.253], [0.865, 0.197, 0.588], [0.866, 0.535, 0.918], [0.068, 0.578, 0.075], [0.071, 0.246, 0.739], [0.074, 0.912, 0.404], [0.077, 0.107, 0.808], [0.082, 0.434, 0.143], [0.088, 0.238, 0.035], [0.089, 0.770, 0.475], [0.090, 0.446, 0.423], [0.094, 0.785, 0.753], [0.096, 0.113, 0.094], [0.097, 0.573, 0.366], [0.099, 0.913, 0.698], [0.108, 0.093, 0.696], [0.119, 0.589, 0.763], [0.120, 0.260, 0.423], [0.120, 0.928, 0.095], [0.123, 0.758, 0.076], [0.124, 0.421, 0.746], [0.126, 0.253, 0.138], [0.128, 0.089, 0.409], [0.129, 0.584, 0.471], [0.132, 0.760, 0.361], [0.136, 0.424, 0.031], [0.138, 0.921, 0.801], [0.194, 0.336, 0.926], [0.197, 0.663, 0.257], [0.197, 0.692, 0.861], [0.198, 0.333, 0.642], [0.198, 0.664, 0.976], [0.199, 0.354, 0.528], [0.200, 0.002, 0.599], [0.201, 0.358, 0.243], [0.205, 0.024, 0.914], [0.205, 0.694, 0.579], [0.207, 0.990, 0.305], [0.211, 0.016, 0.201], [0.322, 0.194, 0.080], [0.323, 0.523, 0.413], [0.327, 0.502, 0.101], [0.328, 0.860, 0.742], [0.329, 0.516, 0.696], [0.330, 0.856, 0.029], [0.331, 0.161, 0.758], [0.332, 0.830, 0.142], [0.333, 0.164, 0.476], [0.333, 0.185, 0.361], [0.335, 0.492, 0.810], [0.336, 0.837, 0.424], [0.392, 0.420, 0.302], [0.394, 0.926, 0.530], [0.397, 0.925, 0.248], [0.398, 0.260, 0.862], [0.400, 0.080, 0.261], [0.400, 0.084, 0.971], [0.400, 0.590, 0.911], [0.400, 0.753, 0.638], [0.403, 0.258, 0.577], [0.411, 0.760, 0.924], [0.413, 0.429, 0.590], [0.421, 0.594, 0.196], [0.430, 0.074, 0.866], [0.430, 0.412, 0.198], [0.433, 0.283, 0.254], [0.434, 0.614, 0.591], [0.436, 0.740, 0.534], [0.439, 0.268, 0.976], [0.439, 0.947, 0.923], [0.446, 0.935, 0.642], [0.452, 0.608, 0.308], [0.453, 0.749, 0.240], [0.459, 0.079, 0.574], [0.462, 0.410, 0.908], [0.564, 0.750, 0.744], [0.565, 0.080, 0.074], [0.571, 0.411, 0.414], [0.577, 0.603, 0.810], [0.585, 0.733, 0.037], [0.585, 0.936, 0.142], [0.593, 0.265, 0.477], [0.593, 0.610, 0.099], [0.597, 0.073, 0.365], [0.597, 0.946, 0.422], [0.599, 0.280, 0.759], [0.604, 0.406, 0.700], [0.619, 0.600, 0.696], [0.620, 0.262, 0.077], [0.620, 0.428, 0.105], [0.623, 0.763, 0.424], [0.625, 0.263, 0.363], [0.625, 0.591, 0.417], [0.628, 0.753, 0.139], [0.628, 0.926, 0.744], [0.629, 0.080, 0.757], [0.630, 0.925, 0.030], [0.639, 0.083, 0.469], [0.640, 0.419, 0.804], [0.693, 0.827, 0.643], [0.694, 0.833, 0.925], [0.696, 0.167, 0.977], [0.696, 0.182, 0.861], [0.696, 0.505, 0.591], [0.697, 0.859, 0.246], [0.700, 0.863, 0.531], [0.701, 0.165, 0.262], [0.703, 0.524, 0.911], [0.705, 0.184, 0.578], [0.707, 0.516, 0.200], [0.713, 0.488, 0.303], [0.815, 0.987, 0.803], [0.820, 0.688, 0.082], [0.821, 0.016, 0.700], [0.824, 0.672, 0.762], [0.828, 0.023, 0.409], [0.829, 0.004, 0.092], [0.829, 0.363, 0.031], [0.831, 0.355, 0.747], [0.833, 0.683, 0.361], [0.834, 0.327, 0.143], [0.834, 0.668, 0.477], [0.836, 0.332, 0.424], [0.891, 0.251, 0.638], [0.892, 0.920, 0.304], [0.894, 0.584, 0.971], [0.899, 0.426, 0.529], [0.899, 0.580, 0.257], [0.900, 0.426, 0.244], [0.903, 0.763, 0.862], [0.904, 0.090, 0.917], [0.906, 0.262, 0.924], [0.907, 0.761, 0.577], [0.908, 0.927, 0.604], [0.916, 0.098, 0.197], [0.927, 0.907, 0.201], [0.929, 0.781, 0.259], [0.932, 0.108, 0.597], [0.934, 0.447, 0.924], [0.934, 0.574, 0.867], [0.937, 0.765, 0.977], [0.940, 0.231, 0.536], [0.941, 0.436, 0.642], [0.951, 0.102, 0.310], [0.958, 0.250, 0.245], [0.959, 0.911, 0.915], [0.960, 0.580, 0.572]]
}

***

(2)
{
  "formula": "NaZrNbSi2SO12",
  "functional": "PBE",
  "state": "relaxed",
  "e_form_mev_per_atom": -2893.8,
  "energy_corrected_mp2020_ev_per_atom": -8.13,
  "lattice_angstrom": [[8.990, 0.000, 0.000], [-4.495, 7.779, 0.008], [0.000, 0.021, 23.269]],
  "species": ["Na", "O", "O", "O", "O", "O", "O", "Na", "O", "O", "O", "Zr", "O", "O", "O", "O", "O", "O", "O", "S", "Na", "O", "O", "O", "O", "O", "O", "O", "O", "O", "O", "O", "O", "O", "O", "O", "O", "O", "Nb", "O", "O", "O", "O", "Nb", "O", "O", "O", "Si", "O", "O", "O", "Zr", "Si", "Nb", "O", "Si", "Nb", "O", "Zr", "Si", "Na", "S", "O", "O", "O", "Zr", "O", "O", "Nb", "O", "O", "O", "O", "O", "O", "O", "Si", "Si", "S", "O", "Zr", "O", "Si", "O", "Si", "O", "O", "O", "S", "O", "O", "O", "Si", "S", "Nb", "O", "Zr", "S", "Si", "O", "Na", "O", "O", "O", "Si", "O", "Na", "Si"],
  "fractional_positions": [[0.345, 0.674, 0.165], [0.638, 0.488, 0.925], [0.808, 0.972, 0.693], [0.697, 0.543, 0.531], [0.635, 0.130, 0.422], [0.461, 0.315, 0.743], [0.180, 0.210, 0.698], [0.662, 0.340, 0.332], [0.030, 0.210, 0.198], [0.497, 0.638, 0.860], [0.491, 0.139, 0.640], [0.678, 0.325, 0.687], [0.854, 0.315, 0.243], [0.879, 0.520, 0.135], [0.315, 0.473, 0.473], [0.163, 0.192, 0.410], [0.159, 0.697, 0.472], [0.696, 0.525, 0.243], [0.128, 0.648, 0.076], [0.001, 0.288, 0.250], [0.012, 0.007, 0.499], [0.347, 0.493, 0.078], [0.824, 0.806, 0.306], [0.496, 0.858, 0.076], [0.363, 0.876, 0.864], [0.304, 0.821, 0.259], [0.161, 0.463, 0.255], [0.518, 0.692, 0.259], [0.971, 0.154, 0.592], [0.871, 0.364, 0.639], [0.841, 0.025, 0.092], [0.184, 0.025, 0.592], [0.513, 0.876, 0.364], [0.183, 0.154, 0.092], [0.982, 0.806, 0.806], [0.794, 0.982, 0.409], [0.829, 0.525, 0.743], [0.205, 0.031, 0.305], [0.996, 0.993, 0.145], [0.030, 0.836, 0.693], [0.680, 0.160, 0.745], [0.187, 0.982, 0.909], [0.850, 0.488, 0.425], [0.664, 0.326, 0.979], [0.641, 0.520, 0.635], [0.164, 0.972, 0.193], [0.139, 0.502, 0.860], [0.955, 0.328, 0.583], [0.813, 0.827, 0.911], [0.363, 0.502, 0.360], [0.475, 0.305, 0.027], [0.314, 0.659, 0.521], [0.000, 0.710, 0.751], [0.662, 0.326, 0.479], [0.828, 0.796, 0.589], [0.044, 0.377, 0.918], [0.329, 0.659, 0.812], [0.846, 0.543, 0.031], [0.344, 0.659, 0.021], [0.333, 0.377, 0.418], [0.678, 0.340, 0.832], [0.288, 0.288, 0.750], [0.975, 0.187, 0.302], [0.516, 0.821, 0.759], [0.472, 0.169, 0.527], [0.648, 0.325, 0.187], [0.538, 0.697, 0.972], [0.830, 0.305, 0.527], [0.330, 0.659, 0.312], [0.520, 0.648, 0.576], [0.302, 0.463, 0.755], [0.029, 0.192, 0.910], [0.480, 0.160, 0.245], [0.851, 0.358, 0.926], [0.141, 0.638, 0.360], [0.014, 0.827, 0.411], [0.706, 0.994, 0.750], [0.373, 0.328, 0.083], [0.667, 0.622, 0.583], [0.212, 0.187, 0.802], [0.981, 0.992, 0.854], [0.507, 0.358, 0.426], [0.040, 0.661, 0.416], [0.697, 0.169, 0.027], [0.377, 0.044, 0.584], [0.826, 0.031, 0.805], [0.158, 0.473, 0.973], [0.648, 0.139, 0.140], [0.621, 0.955, 0.416], [0.969, 0.796, 0.089], [0.493, 0.364, 0.139], [0.362, 0.858, 0.576], [0.666, 0.044, 0.084], [0.334, 0.955, 0.916], [0.997, 0.993, 0.645], [0.146, 0.493, 0.578], [0.011, 0.992, 0.354], [0.954, 0.622, 0.083], [0.288, 0.994, 0.250], [0.174, 0.692, 0.759], [0.329, 0.674, 0.665], [0.308, 0.853, 0.969], [0.545, 0.853, 0.469], [0.806, 0.836, 0.193], [0.621, 0.661, 0.916], [0.494, 0.130, 0.922], [0.995, 0.007, 0.999], [0.710, 0.710, 0.251]]
}

***

(3)
{
  "formula": "NaNbZn3S6O24",
  "functional": "PBE",
  "state": "relaxed",
  "e_form_mev_per_atom": -1980.2,
  "space_group": "P3",
  "energy_corrected_mp2020_ev_per_atom": -6.52,
  "lattice_angstrom": [[8.738, 0.000, 0.000], [-4.369, 7.567, 0.000], [0.000, 0.000, 22.665]],
  "species": ["Na", "Na", "Na", "Nb", "Nb", "Nb", "Zn", "Zn", "Zn", "Zn", "Zn", "Zn", "Zn", "Zn", "Zn", "S", "S", "S", "S", "S", "S", "S", "S", "S", "S", "S", "S", "S", "S", "S", "S", "S", "S", "O", "O", "O", "O", "O", "O", "O", "O", "O", "O", "O", "O", "O", "O", "O", "O", "O", "O", "O", "O", "O", "O", "O", "O", "O", "O", "O", "O", "O", "O", "O", "O", "O", "O", "O", "O", "O", "O", "O", "O", "O", "O", "O", "O", "O", "O", "O", "O", "O", "O", "O", "O", "O", "O", "O", "O", "O", "O", "O", "O", "O", "O", "O", "O", "O", "O", "O", "O", "O", "O", "O", "O"],
  "fractional_positions": [[0.000, 0.000, 0.000], [0.000, 0.000, 0.489], [0.333, 0.667, 0.167], [0.333, 0.667, 0.812], [0.667, 0.333, 0.187], [0.667, 0.333, 0.678], [0.000, 0.000, 0.148], [0.000, 0.000, 0.353], [0.000, 0.000, 0.645], [0.000, 0.000, 0.847], [0.333, 0.667, 0.019], [0.333, 0.667, 0.325], [0.333, 0.667, 0.507], [0.667, 0.333, 0.467], [0.667, 0.333, 0.978], [0.009, 0.714, 0.246], [0.040, 0.370, 0.415], [0.041, 0.669, 0.916], [0.286, 0.295, 0.246], [0.292, 0.002, 0.747], [0.330, 0.960, 0.415], [0.331, 0.372, 0.916], [0.370, 0.332, 0.577], [0.374, 0.042, 0.079], [0.628, 0.959, 0.916], [0.630, 0.670, 0.415], [0.668, 0.038, 0.577], [0.669, 0.626, 0.079], [0.705, 0.991, 0.246], [0.711, 0.708, 0.747], [0.958, 0.331, 0.079], [0.962, 0.630, 0.577], [0.998, 0.289, 0.747], [0.022, 0.192, 0.410], [0.025, 0.827, 0.906], [0.032, 0.814, 0.191], [0.038, 0.220, 0.695], [0.118, 0.474, 0.360], [0.130, 0.635, 0.578], [0.131, 0.497, 0.079], [0.140, 0.652, 0.861], [0.149, 0.448, 0.468], [0.154, 0.699, 0.967], [0.156, 0.679, 0.252], [0.157, 0.473, 0.758], [0.169, 0.978, 0.410], [0.173, 0.198, 0.906], [0.182, 0.962, 0.695], [0.186, 0.217, 0.191], [0.198, 0.024, 0.087], [0.198, 0.173, 0.589], [0.218, 0.185, 0.298], [0.219, 0.035, 0.801], [0.299, 0.851, 0.468], [0.301, 0.456, 0.967], [0.316, 0.843, 0.758], [0.321, 0.476, 0.252], [0.348, 0.488, 0.861], [0.356, 0.882, 0.360], [0.365, 0.495, 0.578], [0.365, 0.869, 0.079], [0.455, 0.147, 0.026], [0.457, 0.303, 0.528], [0.473, 0.155, 0.738], [0.473, 0.312, 0.235], [0.487, 0.137, 0.133], [0.489, 0.134, 0.421], [0.489, 0.348, 0.635], [0.494, 0.366, 0.917], [0.503, 0.635, 0.079], [0.505, 0.870, 0.578], [0.512, 0.860, 0.861], [0.524, 0.844, 0.252], [0.526, 0.644, 0.360], [0.527, 0.684, 0.758], [0.544, 0.846, 0.967], [0.552, 0.701, 0.468], [0.634, 0.128, 0.917], [0.645, 0.511, 0.421], [0.649, 0.513, 0.133], [0.652, 0.140, 0.635], [0.682, 0.527, 0.738], [0.688, 0.160, 0.235], [0.692, 0.545, 0.026], [0.697, 0.155, 0.528], [0.780, 0.818, 0.695], [0.783, 0.968, 0.191], [0.802, 0.975, 0.906], [0.808, 0.831, 0.410], [0.815, 0.033, 0.298], [0.816, 0.781, 0.801], [0.826, 0.802, 0.087], [0.827, 0.026, 0.589], [0.840, 0.527, 0.235], [0.845, 0.318, 0.738], [0.845, 0.543, 0.528], [0.853, 0.308, 0.026], [0.860, 0.511, 0.635], [0.863, 0.351, 0.133], [0.866, 0.355, 0.421], [0.872, 0.506, 0.917], [0.965, 0.184, 0.801], [0.967, 0.782, 0.298], [0.974, 0.802, 0.589], [0.976, 0.174, 0.087]]
}